A plane-wave DFT calculation with PBE was carried out for a relaxed structure of Cs2AlHgF6.

abc: 6.4211 6.4211 6.4211
angles: 60.00 60.00 60.00
Fractional positions:
Cs  0.2500  0.2500  0.2500
Cs  0.7500  0.7500  0.7500
Al  0.0000  0.0000  0.0000
Hg  0.5000  0.5000  0.5000
F  0.2041  0.2041  0.7959
F  0.2041  0.7959  0.2041
F  0.2041  0.7959  0.7959
F  0.7959  0.2041  0.2041
F  0.7959  0.2041  0.7959
F  0.7959  0.7959  0.2041

Calculated values
As for the total energy: -4.425 eV per atom. The calculation puts the volume at 18.72 A^3/atom. As for the space group: Fm-3m.

=====

A plane-wave DFT calculation with PBE was carried out for a relaxed structure of Cs2AlInF6.

abc: 6.4810 6.4810 6.4810
angles: 60.00 60.00 60.00
Fractional positions:
Cs  0.2500  0.2500  0.2500
Cs  0.7500  0.7500  0.7500
Al  0.0000  0.0000  0.0000
In  0.5000  0.5000  0.5000
F  0.2022  0.2022  0.7978
F  0.2022  0.7978  0.2022
F  0.2022  0.7978  0.7978
F  0.7978  0.2022  0.2022
F  0.7978  0.2022  0.7978
F  0.7978  0.7978  0.2022

Calculated values
As for the total energy: -4.862 eV per atom. The calculation puts the volume at 19.25 A^3/atom. As for the space group: Fm-3m.

=====

A plane-wave DFT calculation with PBE was carried out for a relaxed structure of CsK2AlF6.

abc: 6.5217 6.5217 6.5217
angles: 60.00 60.00 60.00
Fractional positions:
Cs  0.0000  0.0000  0.0000
K  0.2500  0.2500  0.2500
K  0.7500  0.7500  0.7500
Al  0.5000  0.5000  0.5000
F  0.3008  0.3008  0.6992
F  0.3008  0.6992  0.3008
F  0.3008  0.6992  0.6992
F  0.6992  0.3008  0.3008
F  0.6992  0.3008  0.6992
F  0.6992  0.6992  0.3008

Calculated values
As for the total energy: -4.882 eV per atom. The calculation puts the volume at 19.61 A^3/atom. As for the space group: Fm-3m.

=====

A plane-wave DFT calculation with PBE was carried out for a relaxed structure of Cs2LiAl3F12.

abc: 7.2148 7.2148 7.2148
angles: 58.87 58.87 58.87
Fractional positions:
Cs  0.1273  0.1273  0.1273
Cs  0.8727  0.8727  0.8727
Li  0.5000  0.5000  0.5000
Al  0.0000  0.5000  0.5000
Al  0.5000  0.0000  0.5000
Al  0.5000  0.5000  0.0000
F  0.1505  0.5717  0.5717
F  0.1935  0.1935  0.5698
F  0.1935  0.5698  0.1935
F  0.4283  0.4283  0.8495
F  0.4283  0.8495  0.4283
F  0.4302  0.8065  0.8065
F  0.5698  0.1935  0.1935
F  0.5717  0.1505  0.5717
F  0.5717  0.5717  0.1505
F  0.8065  0.4302  0.8065
F  0.8065  0.8065  0.4302
F  0.8495  0.4283  0.4283

Calculated values
As for the total energy: -5.461 eV per atom. The calculation puts the volume at 14.37 A^3/atom. As for the space group: R-3m.

=====

A plane-wave DFT calculation with PBE was carried out for a relaxed structure of Cs2LiAlF6.

abc: 6.2979 6.2979 5.1033
angles: 90.00 90.00 120.00
Fractional positions:
Cs  0.3333  0.6667  0.2287
Cs  0.6667  0.3333  0.7713
Li  0.0000  0.0000  0.0000
Al  0.0000  0.0000  0.5000
F  0.1342  0.2683  0.7181
F  0.1342  0.8658  0.7181
F  0.2683  0.1342  0.2819
F  0.7317  0.8658  0.7181
F  0.8658  0.1342  0.2819
F  0.8658  0.7317  0.2819

Calculated values
As for the total energy: -5.056 eV per atom. The calculation puts the volume at 17.53 A^3/atom. As for the space group: P-3m1.

=====

A plane-wave DFT calculation with PBE was carried out for a relaxed structure of CsMgAlF6.

abc: 7.2230 7.2230 7.2230
angles: 120.47 119.32 90.19
Fractional positions:
Cs  0.3778  0.1278  0.2500
Cs  0.6222  0.8722  0.7500
Mg  0.0000  0.5000  0.5000
Mg  0.5000  0.5000  0.0000
Al  0.0000  0.0000  0.5000
Al  0.0000  0.5000  0.0000
F  0.0533  0.8033  0.2500
F  0.0561  0.4273  0.2248
F  0.0561  0.8313  0.6288
F  0.2975  0.1687  0.7248
F  0.2975  0.5727  0.1288
F  0.3252  0.5752  0.7500
F  0.6748  0.4248  0.2500
F  0.7025  0.4273  0.8712
F  0.7025  0.8313  0.2752
F  0.9439  0.1687  0.3712
F  0.9439  0.5727  0.7752
F  0.9467  0.1967  0.7500

Calculated values
As for the total energy: -5.401 eV per atom. The calculation puts the volume at 14.83 A^3/atom. As for the space group: Imma.